The following is a DFT calculation (PBE with a Hubbard U) of crystalline Sr3Co2O6 at its relaxed geometry.

```
22
Lattice="4.2459 3.3368 -3.8128 3.4461 1.3607 5.6163 3.1607 -5.8039 -0.8477" Properties=species:S:1:pos:R:3 pbc="T T T"
O 6.4535 3.7882 0.5327
Co 2.7222 -0.2874 0.2880
O 5.2792 1.6746 -3.4044
O 6.7919 0.7085 -0.0474
Sr 4.3933 -2.8964 -1.4614
Sr 6.4690 1.7822 2.4174
Sr 5.9641 -3.4646 1.7656
Sr 4.3038 -0.8291 3.4734
Co 6.6074 -4.4341 4.7594
O 5.5789 -2.7822 4.3534
O 6.5424 -1.9219 -0.3222
O 4.0507 -1.8034 1.0083
O 4.4090 -4.8936 0.4076
O 6.0955 -2.8134 -3.3296
O 6.5211 -0.8297 2.1644
O 4.3283 0.8353 1.2771
Sr 6.5504 -0.2792 -2.5153
Co 8.1214 -0.8787 0.6905
Co 5.4274 -0.5388 0.4773
O 4.3286 -0.2691 -1.1990
O 4.7473 1.7199 4.2724
Sr 4.8749 2.3517 -0.8038
```

Computed properties:
Volume: 295.14 Å³/cell
Energy above the most stable polymorph in this dataset: 0.01 eV/f.u.
Density: 5.36 g/cm³
DFT formation energy: -2.320 eV per atom